# 1
# MgTiP2O7 (PBE, optimized geometry)
data_MgTiP2O7
_symmetry_space_group_name_H-M 'P -1'
_symmetry_Int_Tables_number 2
_cell_length_a 6.482
_cell_length_b 6.553
_cell_length_c 6.734
_cell_angle_alpha 80.19
_cell_angle_beta 64.66
_cell_angle_gamma 80.66
loop_
_symmetry_equiv_pos_as_xyz
'x,y,z'
'-x,-y,-z'
loop_
_atom_site_label
_atom_site_type_symbol
_atom_site_fract_x
_atom_site_fract_y
_atom_site_fract_z
_atom_site_occupancy
Mg1 Mg 0.213 0.139 0.339 1
Ti1 Ti 0.406 0.356 0.703 1
P1 P 0.137 0.618 0.191 1
P2 P 0.272 0.858 0.748 1
O1 O 0.099 0.766 0.984 1
O2 O 0.108 0.371 0.628 1
O3 O 0.114 0.943 0.629 1
O4 O 0.233 0.398 0.115 1
O5 O 0.298 0.729 0.237 1
O6 O 0.416 0.015 0.764 1
O7 O 0.450 0.677 0.643 1
# Calculated density in g cm⁻³: 3.22
# Formation energy in eV/atom: -2.745
# Total moment in μB per cell: 4.0
# Offset from the most stable computed form in meV per atom: 48
# Total DFT energy (no corrections) in eV/atom: -7.304

# 2
# Nd12InNi6 (PBE, optimized geometry)
data_Nd12InNi6
_symmetry_space_group_name_H-M 'I m -3'
_symmetry_Int_Tables_number 204
_symmetry_space_group_name_Hall '-I 2 2 3'
_cell_length_a 10.081
_cell_length_b 10.081
_cell_length_c 10.081
_cell_angle_alpha 90.00
_cell_angle_beta 90.00
_cell_angle_gamma 90.00
loop_
_atom_site_label
_atom_site_type_symbol
_atom_site_fract_x
_atom_site_fract_y
_atom_site_fract_z
_atom_site_occupancy
Nd1 Nd 0.000 0.307 0.186 1
In1 In 0.000 0.000 0.000 1
Ni1 Ni 0.000 0.122 0.500 1
# Calculated density in g cm⁻³: 7.13
# Formation energy in eV/atom: -0.275
# Total DFT energy (no corrections) in eV/atom: -5.256

# 3
# Na14La6Nb2Si9S3O48 (PBE, optimized geometry)
data_Na14La6Nb2Si9S3O48
_symmetry_space_group_name_H-M 'P 1'
_symmetry_Int_Tables_number 1
_cell_length_a 9.613
_cell_length_b 16.707
_cell_length_c 23.536
_cell_angle_alpha 90.53
_cell_angle_beta 90.13
_cell_angle_gamma 90.00
loop_
_symmetry_equiv_pos_as_xyz
'x,y,z'
loop_
_atom_site_label
_atom_site_type_symbol
_atom_site_fract_x
_atom_site_fract_y
_atom_site_fract_z
_atom_site_occupancy
Na1 Na 0.000 0.000 0.000 1
Na2 Na 0.000 0.031 0.353 1
Na3 Na 0.004 0.671 0.345 1
Na4 Na 0.010 0.707 0.676 1
Na5 Na 0.029 0.359 0.349 1
Na6 Na 0.052 0.029 0.690 1
Na7 Na 0.162 0.837 0.083 1
Na8 Na 0.172 0.181 0.774 1
Na9 Na 0.172 0.516 0.929 1
Na10 Na 0.174 0.519 0.426 1
Na11 Na 0.174 0.851 0.600 1
Na12 Na 0.196 0.185 0.263 1
Na13 Na 0.297 0.687 0.503 1
Na14 Na 0.315 0.031 0.180 1
Na15 Na 0.318 0.352 0.858 1
Na16 Na 0.346 0.676 0.849 1
Na17 Na 0.351 0.039 0.851 1
Na18 Na 0.358 0.696 0.175 1
Na19 Na 0.370 0.372 0.500 1
Na20 Na 0.373 0.333 0.172 1
Na21 Na 0.474 0.835 0.686 1
Na22 Na 0.480 0.874 0.000 1
Na23 Na 0.490 0.198 0.683 1
Na24 Na 0.490 0.531 0.345 1
Na25 Na 0.505 0.175 0.346 1
Na26 Na 0.530 0.854 0.354 1
Na27 Na 0.532 0.528 0.687 1
Na28 Na 0.542 0.196 0.005 1
Na29 Na 0.658 0.684 0.770 1
Na30 Na 0.660 0.351 0.092 1
Na31 Na 0.677 0.021 0.927 1
Na32 Na 0.679 0.019 0.424 1
Na33 Na 0.680 0.680 0.259 1
Na34 Na 0.689 0.337 0.585 1
Na35 Na 0.801 0.525 0.184 1
Na36 Na 0.827 0.862 0.853 1
Na37 Na 0.843 0.208 0.170 1
Na38 Na 0.853 0.498 0.500 1
Na39 Na 0.853 0.529 0.857 1
Na40 Na 0.859 0.172 0.853 1
Na41 Na 0.873 0.823 0.174 1
Na42 Na 0.980 0.325 0.679 1
La1 La 0.165 0.856 0.445 1
La2 La 0.169 0.848 0.944 1
La3 La 0.171 0.186 0.605 1
La4 La 0.173 0.847 0.257 1
La5 La 0.178 0.853 0.756 1
La6 La 0.179 0.189 0.103 1
La7 La 0.179 0.524 0.278 1
La8 La 0.179 0.525 0.570 1
La9 La 0.181 0.524 0.781 1
La10 La 0.670 0.024 0.280 1
La11 La 0.670 0.351 0.252 1
La12 La 0.672 0.025 0.781 1
La13 La 0.672 0.027 0.070 1
La14 La 0.674 0.686 0.606 1
La15 La 0.678 0.350 0.761 1
La16 La 0.679 0.356 0.946 1
La17 La 0.681 0.347 0.444 1
La18 La 0.681 0.686 0.104 1
Nb1 Nb 0.172 0.193 0.918 1
Nb2 Nb 0.184 0.192 0.412 1
Nb3 Nb 0.203 0.529 0.073 1
Nb4 Nb 0.658 0.034 0.576 1
Nb5 Nb 0.669 0.691 0.913 1
Nb6 Nb 0.687 0.681 0.411 1
Si1 Si 0.005 0.699 0.843 1
Si2 Si 0.029 0.015 0.848 1
Si3 Si 0.034 0.668 0.175 1
Si4 Si 0.035 0.337 0.514 1
Si5 Si 0.318 0.343 0.016 1
Si6 Si 0.322 0.010 0.348 1
Si7 Si 0.323 0.040 0.011 1
Si8 Si 0.329 0.676 0.679 1
Si9 Si 0.342 0.701 0.352 1
Si10 Si 0.363 0.352 0.350 1
Si11 Si 0.373 0.019 0.677 1
Si12 Si 0.382 0.686 0.015 1
Si13 Si 0.469 0.185 0.515 1
Si14 Si 0.480 0.519 0.178 1
Si15 Si 0.489 0.851 0.849 1
Si16 Si 0.508 0.201 0.849 1
Si17 Si 0.519 0.175 0.180 1
Si18 Si 0.527 0.540 0.510 1
Si19 Si 0.529 0.512 0.846 1
Si20 Si 0.816 0.838 0.014 1
Si21 Si 0.819 0.172 0.677 1
Si22 Si 0.828 0.510 0.348 1
Si23 Si 0.845 0.199 0.344 1
Si24 Si 0.859 0.849 0.345 1
Si25 Si 0.876 0.186 0.014 1
Si26 Si 0.973 0.687 0.514 1
Si27 Si 0.991 0.349 0.844 1
S1 S 0.002 0.037 0.514 1
S2 S 0.025 0.375 0.176 1
S3 S 0.332 0.368 0.678 1
S4 S 0.520 0.868 0.179 1
S5 S 0.535 0.845 0.513 1
S6 S 0.823 0.878 0.674 1
S7 S 0.847 0.539 0.011 1
S8 S 0.867 0.518 0.679 1
S9 S 0.984 0.017 0.180 1
O1 O 0.000 0.189 0.962 1
O2 O 0.003 0.536 0.013 1
O3 O 0.010 0.753 0.784 1
O4 O 0.015 0.194 0.363 1
O5 O 0.040 0.087 0.463 1
O6 O 0.047 0.599 0.504 1
O7 O 0.052 0.605 0.840 1
O8 O 0.052 0.953 0.900 1
O9 O 0.053 0.073 0.567 1
O10 O 0.058 0.623 0.235 1
O11 O 0.062 0.956 0.509 1
O12 O 0.064 0.298 0.575 1
O13 O 0.071 0.091 0.179 1
O14 O 0.072 0.408 0.232 1
O15 O 0.074 0.945 0.181 1
O16 O 0.075 0.427 0.129 1
O17 O 0.077 0.265 0.860 1
O18 O 0.081 0.292 0.173 1
O19 O 0.088 0.759 0.511 1
O20 O 0.099 0.271 0.463 1
O21 O 0.101 0.979 0.789 1
O22 O 0.102 0.606 0.123 1
O23 O 0.105 0.741 0.889 1
O24 O 0.106 0.104 0.860 1
O25 O 0.107 0.421 0.843 1
O26 O 0.116 0.754 0.173 1
O27 O 0.129 0.418 0.504 1
O28 O 0.237 0.434 0.023 1
O29 O 0.239 0.097 0.363 1
O30 O 0.245 0.763 0.681 1
O31 O 0.246 0.421 0.344 1
O32 O 0.247 0.289 0.962 1
O33 O 0.251 0.978 0.287 1
O34 O 0.259 0.951 0.005 1
O35 O 0.264 0.107 0.962 1
O36 O 0.264 0.744 0.405 1
O37 O 0.269 0.629 0.622 1
O38 O 0.271 0.287 0.676 1
O39 O 0.272 0.073 0.073 1
O40 O 0.273 0.264 0.361 1
O41 O 0.276 0.098 0.673 1
O42 O 0.276 0.408 0.730 1
O43 O 0.282 0.601 0.019 1
O44 O 0.285 0.610 0.346 1
O45 O 0.288 0.934 0.672 1
O46 O 0.290 0.765 0.007 1
O47 O 0.294 0.416 0.627 1
O48 O 0.296 0.297 0.075 1
O49 O 0.298 0.944 0.396 1
O50 O 0.299 0.621 0.735 1
O51 O 0.327 0.756 0.294 1
O52 O 0.336 0.199 0.862 1
O53 O 0.348 0.186 0.181 1
O54 O 0.354 0.174 0.462 1
O55 O 0.355 0.518 0.123 1
O56 O 0.358 0.543 0.503 1
O57 O 0.362 0.535 0.846 1
O58 O 0.365 0.863 0.181 1
O59 O 0.382 0.853 0.509 1
O60 O 0.390 0.527 0.235 1
O61 O 0.390 0.870 0.903 1
O62 O 0.394 0.190 0.576 1
O63 O 0.400 0.829 0.791 1
O64 O 0.454 0.329 0.294 1
O65 O 0.458 0.370 0.405 1
O66 O 0.458 0.692 0.076 1
O67 O 0.466 0.026 0.734 1
O68 O 0.483 0.350 0.007 1
O69 O 0.487 0.364 0.681 1
O70 O 0.489 0.031 0.346 1
O71 O 0.493 0.042 0.004 1
O72 O 0.499 0.675 0.962 1
O73 O 0.501 0.690 0.679 1
O74 O 0.502 0.018 0.622 1
O75 O 0.515 0.698 0.364 1
O76 O 0.525 0.252 0.790 1
O77 O 0.553 0.124 0.238 1
O78 O 0.553 0.443 0.892 1
O79 O 0.558 0.916 0.129 1
O80 O 0.562 0.108 0.847 1
O81 O 0.562 0.264 0.508 1
O82 O 0.562 0.800 0.566 1
O83 O 0.566 0.436 0.173 1
O84 O 0.573 0.100 0.520 1
O85 O 0.574 0.907 0.231 1
O86 O 0.576 0.762 0.861 1
O87 O 0.577 0.600 0.174 1
O88 O 0.579 0.577 0.571 1
O89 O 0.581 0.126 0.125 1
O90 O 0.582 0.786 0.177 1
O91 O 0.590 0.604 0.460 1
O92 O 0.592 0.244 0.900 1
O93 O 0.592 0.451 0.506 1
O94 O 0.592 0.803 0.463 1
O95 O 0.596 0.483 0.784 1
O96 O 0.601 0.262 0.180 1
O97 O 0.603 0.927 0.518 1
O98 O 0.609 0.918 0.844 1
O99 O 0.613 0.598 0.863 1
O100 O 0.721 0.918 0.004 1
O101 O 0.735 0.256 0.674 1
O102 O 0.744 0.921 0.343 1
O103 O 0.747 0.240 0.392 1
O104 O 0.750 0.110 0.622 1
O105 O 0.751 0.478 0.290 1
O106 O 0.751 0.601 0.358 1
O107 O 0.753 0.771 0.963 1
O108 O 0.763 0.258 0.011 1
O109 O 0.765 0.796 0.669 1
O110 O 0.769 0.766 0.362 1
O111 O 0.775 0.930 0.626 1
O112 O 0.776 0.445 0.680 1
O113 O 0.776 0.911 0.729 1
O114 O 0.780 0.592 0.679 1
O115 O 0.788 0.458 0.007 1
O116 O 0.788 0.799 0.076 1
O117 O 0.792 0.120 0.733 1
O118 O 0.795 0.573 0.066 1
O119 O 0.797 0.105 0.340 1
O120 O 0.800 0.454 0.402 1
O121 O 0.803 0.097 0.004 1
O122 O 0.803 0.589 0.963 1
O123 O 0.836 0.696 0.862 1
O124 O 0.840 0.254 0.286 1
O125 O 0.845 0.031 0.516 1
O126 O 0.849 0.689 0.461 1
O127 O 0.861 0.031 0.845 1
O128 O 0.864 0.678 0.171 1
O129 O 0.869 0.372 0.175 1
O130 O 0.870 0.356 0.509 1
O131 O 0.872 0.375 0.889 1
O132 O 0.893 0.011 0.129 1
O133 O 0.895 0.692 0.575 1
O134 O 0.897 0.021 0.232 1
O135 O 0.911 0.329 0.783 1
O136 O 0.943 0.825 0.286 1
O137 O 0.951 0.189 0.076 1
O138 O 0.955 0.522 0.731 1
O139 O 0.956 0.512 0.628 1
O140 O 0.974 0.873 0.392 1
O141 O 0.979 0.874 0.673 1
O142 O 0.981 0.857 0.009 1
O143 O 0.987 0.181 0.672 1
O144 O 0.993 0.529 0.345 1
# Calculated density in g cm⁻³: 3.24
# Formation energy in eV/atom: -2.873
# Total moment in μB per cell: 0.0
# Total DFT energy (no corrections) in eV/atom: -6.947